Entry 1:
The following is a GGA+U calculation of a relaxed Fe3P2H6O11 crystal, from the Materials Project database.

abc: 8.734 9.525 10.197
angles: 90.00 90.00 90.00
Space group Pbcn (No. 60)
Unique sites:
Fe 0.000 0.000 0.000 [4 per cell]
Fe 0.135 0.433 0.095 [8 per cell]
P 0.208 0.295 0.390 [8 per cell]
H 0.059 0.359 0.806 [8 per cell]
H 0.130 0.034 0.748 [8 per cell]
H 0.157 0.129 0.202 [8 per cell]
O 0.000 0.423 0.750 [4 per cell]
O 0.091 0.395 0.457 [8 per cell]
O 0.127 0.143 0.895 [8 per cell]
O 0.152 0.025 0.170 [8 per cell]
O 0.166 0.276 0.243 [8 per cell]
O 0.206 0.149 0.459 [8 per cell]

Formation energy from the elements, meV/atom: -1873
Total magnetization, Bohr magnetons per cell: 48.00
Energy with MP2020 corrections, eV per cell: -608.864
E above lowest polymorph, eV per atom: 0.0000
Electronic total energy, eV for the cell shown: -551.56



Entry 2:
The following is a GGA+U calculation of a relaxed Li2Cr3O6 crystal, from the Materials Project database.

abc: 5.645 9.124 16.696
angles: 90.00 90.00 90.00
Space group Fddd (No. 70, origin choice 2)
Unique sites:
Li 0.125 0.125 0.295 [16 per cell]
Cr 0.125 0.125 0.125 [8 per cell]
Cr 0.125 0.125 0.460 [16 per cell]
O 0.112 0.346 0.459 [32 per cell]
O 0.125 0.343 0.125 [16 per cell]

Formation energy from the elements, meV/atom: -2243
Total magnetization, Bohr magnetons per cell: 63.99
Energy with MP2020 corrections, eV per cell: -697.137
E above lowest polymorph, eV per atom: 0.0111
Electronic total energy, eV for the cell shown: -616.18



Entry 3:
The following is a GGA+U calculation of a relaxed MgFe3Co2SbP6O24 crystal, from the Materials Project database.

abc: 8.710 8.721 8.734
angles: 60.07 60.14 60.14
Space group P1 (No. 1)
Unique sites:
Mg 0.000 0.000 0.000 [1 per cell]
Fe 0.122 0.122 0.121 [1 per cell]
Fe 0.242 0.242 0.241 [1 per cell]
Fe 0.516 0.515 0.515 [1 per cell]
Co 0.371 0.374 0.374 [1 per cell]
Co 0.873 0.870 0.865 [1 per cell]
Sb 0.722 0.721 0.722 [1 per cell]
P 0.123 0.418 0.812 [1 per cell]
P 0.323 0.909 0.618 [1 per cell]
P 0.419 0.813 0.121 [1 per cell]
P 0.619 0.322 0.909 [1 per cell]
P 0.813 0.122 0.417 [1 per cell]
P 0.910 0.619 0.322 [1 per cell]
O 0.068 0.252 0.865 [1 per cell]
O 0.108 0.475 0.324 [1 per cell]
O 0.128 0.914 0.771 [1 per cell]
O 0.169 0.385 0.977 [1 per cell]
O 0.252 0.867 0.065 [1 per cell]
O 0.277 0.445 0.619 [1 per cell]
O 0.324 0.107 0.475 [1 per cell]
O 0.385 0.978 0.168 [1 per cell]
O 0.387 0.767 0.529 [1 per cell]
O 0.444 0.619 0.275 [1 per cell]
O 0.465 0.849 0.717 [1 per cell]
O 0.475 0.323 0.106 [1 per cell]
O 0.531 0.387 0.766 [1 per cell]
O 0.616 0.796 0.952 [1 per cell]
O 0.619 0.275 0.444 [1 per cell]
O 0.718 0.465 0.850 [1 per cell]
O 0.767 0.530 0.386 [1 per cell]
O 0.773 0.128 0.915 [1 per cell]
O 0.797 0.952 0.614 [1 per cell]
O 0.850 0.717 0.465 [1 per cell]
O 0.866 0.067 0.251 [1 per cell]
O 0.916 0.772 0.128 [1 per cell]
O 0.953 0.616 0.795 [1 per cell]
O 0.978 0.169 0.384 [1 per cell]

Formation energy from the elements, meV/atom: -2260
Total magnetization, Bohr magnetons per cell: 18.85
Energy with MP2020 corrections, eV per cell: -280.221
E above lowest polymorph, eV per atom: 0.0210
Electronic total energy, eV for the cell shown: -253.69



Entry 4:
The following is a GGA+U calculation of a relaxed Na8Ni9O18 crystal, from the Materials Project database.

abc: 7.084 7.592 8.064
angles: 66.05 89.67 66.07
Space group P-1 (No. 2)
Unique sites:
Na 0.054 0.278 0.056 [2 per cell]
Na 0.182 0.822 0.178 [2 per cell]
Na 0.289 0.388 0.289 [2 per cell]
Na 0.392 0.925 0.397 [2 per cell]
Ni 0.051 0.781 0.553 [2 per cell]
Ni 0.166 0.332 0.667 [2 per cell]
Ni 0.279 0.884 0.784 [2 per cell]
Ni 0.383 0.447 0.888 [2 per cell]
Ni 0.500 0.000 0.000 [1 per cell]
O 0.034 0.025 0.336 [2 per cell]
O 0.068 0.534 0.769 [2 per cell]
O 0.116 0.602 0.430 [2 per cell]
O 0.212 0.063 0.909 [2 per cell]
O 0.263 0.129 0.567 [2 per cell]
O 0.302 0.639 0.001 [2 per cell]
O 0.359 0.692 0.675 [2 per cell]
O 0.407 0.198 0.105 [2 per cell]
O 0.455 0.251 0.778 [2 per cell]

Formation energy from the elements, meV/atom: -1289
Energy with MP2020 corrections, eV per cell: -196.766
Electronic total energy, eV for the cell shown: -161.53